Record 1
First-principles (PBE-GGA) data for a relaxed ErNi2Sb2 crystal, as listed in Materials Project.

## Properties
calculated total energy = -5.4032 eV/atom
formation enthalpy at 0 K = -3.0 eV per formula unit

a b c (Å): 4.372 4.372 10.115
angles (deg): 90.00 90.00 90.00
Atoms (fractional coordinates):
Er 0.000 0.500 0.236
Er 0.500 0.000 0.764
Ni 0.000 0.000 0.000
Ni 0.500 0.500 0.000
Ni 0.000 0.500 0.629
Ni 0.500 0.000 0.371
Sb 0.000 0.000 0.500
Sb 0.500 0.500 0.500
Sb 0.000 0.500 0.872
Sb 0.500 0.000 0.128

***

Record 2
First-principles (PBE-GGA) data for a relaxed PAuClF3 crystal, as listed in Materials Project.

## Properties
calculated total energy = -4.4171 eV/atom
formation enthalpy at 0 K = -11.6 eV per formula unit

a b c (Å): 4.941 5.657 18.786
angles (deg): 90.00 90.00 90.00
Atoms (fractional coordinates):
P 0.526 0.750 0.646
P 0.026 0.250 0.854
P 0.974 0.750 0.146
P 0.474 0.250 0.354
Au 0.158 0.250 0.966
Au 0.658 0.750 0.534
Au 0.842 0.750 0.034
Au 0.342 0.250 0.466
Cl 0.154 0.250 0.578
Cl 0.846 0.750 0.422
Cl 0.346 0.250 0.078
Cl 0.654 0.750 0.922
F 0.129 0.461 0.807
F 0.720 0.250 0.832
F 0.371 0.039 0.307
F 0.371 0.461 0.307
F 0.629 0.539 0.693
F 0.629 0.961 0.693
F 0.780 0.250 0.332
F 0.280 0.750 0.168
F 0.871 0.539 0.193
F 0.871 0.961 0.193
F 0.220 0.750 0.668
F 0.129 0.039 0.807

***

Record 3
First-principles (PBE-GGA) data for a relaxed Hf3Cu4Si4 crystal, as listed in Materials Project.

## Properties
calculated total energy = -6.6879 eV/atom
formation enthalpy at 0 K = -5.3 eV per formula unit

a b c (Å): 7.507 7.507 7.507
angles (deg): 149.74 129.77 59.77
Atoms (fractional coordinates):
Hf 0.877 0.877 0.000
Hf 0.123 0.123 0.000
Hf 0.500 0.000 0.500
Cu 0.523 0.330 0.194
Cu 0.864 0.670 0.194
Cu 0.136 0.330 0.806
Cu 0.477 0.670 0.806
Si 0.808 0.500 0.308
Si 0.192 0.500 0.692
Si 0.284 0.784 0.500
Si 0.716 0.216 0.500

***

Record 4
First-principles (PBE-GGA) data for a relaxed Ba3SrSi8N8O8 crystal, as listed in Materials Project.

## Properties
calculated total energy = -7.6647 eV/atom
formation enthalpy at 0 K = -63.0 eV per formula unit

a b c (Å): 4.853 5.527 14.479
angles (deg): 90.97 89.98 90.03
Atoms (fractional coordinates):
Ba 0.706 0.742 0.474
Ba 0.206 0.258 0.526
Ba 0.208 0.755 0.974
Sr 0.710 0.231 0.030
Si 0.752 0.442 0.705
Si 0.252 0.562 0.295
Si 0.253 0.060 0.200
Si 0.752 0.948 0.799
Si 0.254 0.250 0.803
Si 0.755 0.744 0.196
Si 0.754 0.251 0.299
Si 0.254 0.747 0.700
N 0.105 0.277 0.274
N 0.604 0.725 0.728
N 0.603 0.228 0.775
N 0.106 0.776 0.222
N 0.106 0.466 0.729
N 0.607 0.535 0.272
N 0.609 0.033 0.222
N 0.105 0.967 0.774
O 0.706 0.370 0.596
O 0.205 0.634 0.404
O 0.205 0.134 0.093
O 0.707 0.896 0.909
O 0.202 0.304 0.912
O 0.706 0.667 0.088
O 0.702 0.197 0.408
O 0.206 0.799 0.591

***

Record 5
First-principles (PBE-GGA) data for a relaxed AlCuO3 crystal, as listed in Materials Project.

## Properties
calculated total energy = -6.0832 eV/atom
formation enthalpy at 0 K = -9.8 eV per formula unit

a b c (Å): 4.564 4.871 8.703
angles (deg): 90.00 90.00 90.00
Atoms (fractional coordinates):
Al 0.042 0.555 0.250
Al 0.542 0.945 0.750
Al 0.458 0.055 0.250
Al 0.958 0.445 0.750
Cu 0.000 0.000 0.500
Cu 0.500 0.500 0.500
Cu 0.500 0.500 0.000
Cu 0.000 0.000 0.000
O 0.717 0.224 0.604
O 0.217 0.276 0.396
O 0.783 0.724 0.896
O 0.283 0.776 0.104
O 0.283 0.776 0.396
O 0.783 0.724 0.604
O 0.217 0.276 0.104
O 0.717 0.224 0.896
O 0.206 0.140 0.750
O 0.706 0.360 0.250
O 0.294 0.640 0.750
O 0.794 0.860 0.250

***

Record 6
First-principles (PBE-GGA) data for a relaxed SbO3 crystal, as listed in Materials Project.

## Properties
ΔE to the lowest computed polymorph = 0 meV/atom
calculated total energy = -5.5595 eV/atom
formation enthalpy at 0 K = -5.3 eV per formula unit

a b c (Å): 7.392 7.392 7.392
angles (deg): 60.00 60.00 60.00
Atoms (fractional coordinates):
Sb 0.125 0.625 0.625
Sb 0.625 0.125 0.625
Sb 0.625 0.625 0.125
Sb 0.625 0.625 0.625
O 0.697 0.697 0.303
O 0.303 0.303 0.697
O 0.697 0.303 0.697
O 0.303 0.697 0.303
O 0.303 0.697 0.697
O 0.697 0.303 0.303
O 0.553 0.553 0.947
O 0.947 0.947 0.553
O 0.553 0.947 0.553
O 0.947 0.553 0.947
O 0.947 0.553 0.553
O 0.553 0.947 0.947

***

Q: Among the records above, which one has the highest formation enthalpy at 0 K?
A: ErNi2Sb2